{"formula": "TiMnCo2", "functional": "r²SCAN", "state": "relaxed", "spacegroup": "Fm-3m (225)", "final_energy_ev_per_atom": -13.94, "m_tot_mub_per_fu": 5.0, "lattice": [[0.0000, 2.9259, 2.9259], [2.9259, 0.0000, 2.9259], [2.9259, 2.9259, 0.0000]], "species": ["Co", "Co", "Ti", "Mn"], "fractional_positions": [[0.0000, 0.0000, 0.0000], [0.5000, 0.5000, 0.5000], [0.7500, 0.7500, 0.7500], [0.2500, 0.2500, 0.2500]]}